1.
This record from Materials Project describes a relaxed structure of Li3MnP2O8. The functional is PBE+U.

Cell and atoms, written as CIF:
```
data_Li3MnP2O8
_cell_length_a 8.088
_cell_length_b 8.473
_cell_length_c 10.414
_cell_angle_alpha 90.04
_cell_angle_beta 90.02
_cell_angle_gamma 107.45
_space_group_name_H-M_alt 'P 1'
_space_group_IT_number 1
_space_group_name_Hall 'P 1'
loop_
_atom_site_label
_atom_site_fract_x
_atom_site_fract_y
_atom_site_fract_z
Li1 0.000 0.000 0.000
Li2 0.000 0.002 0.505
Li3 0.007 0.508 0.666
Li4 0.084 0.836 0.773
Li5 0.127 0.383 0.917
Li6 0.130 0.874 0.262
Li7 0.252 0.735 0.477
Li8 0.257 0.249 0.688
Li9 0.429 0.454 0.002
Li10 0.438 0.960 0.169
Li11 0.802 0.261 0.487
Li12 0.967 0.440 0.187
Mn1 0.496 0.465 0.489
Mn2 0.506 0.960 0.670
Mn3 0.722 0.240 0.991
Mn4 0.730 0.740 0.175
P1 0.329 0.589 0.236
P2 0.331 0.088 0.917
P3 0.402 0.651 0.753
P4 0.408 0.150 0.419
P5 0.826 0.054 0.251
P6 0.827 0.556 0.920
P7 0.886 0.629 0.422
P8 0.904 0.131 0.745
O1 0.028 0.798 0.441
O2 0.032 0.307 0.731
O3 0.189 0.924 0.941
O4 0.199 0.433 0.184
O5 0.267 0.235 0.954
O6 0.280 0.747 0.208
O7 0.291 0.749 0.675
O8 0.304 0.248 0.497
O9 0.321 0.578 0.878
O10 0.330 0.083 0.291
O11 0.361 0.586 0.384
O12 0.387 0.104 0.773
O13 0.425 0.513 0.665
O14 0.426 0.003 0.501
O15 0.495 0.086 0.002
O16 0.505 0.588 0.163
O17 0.572 0.799 0.771
O18 0.587 0.291 0.410
O19 0.644 0.419 0.914
O20 0.645 0.916 0.249
O21 0.711 0.640 0.481
O22 0.738 0.123 0.661
O23 0.815 0.198 0.164
O24 0.816 0.700 0.004
O25 0.853 0.100 0.889
O26 0.860 0.598 0.274
O27 0.888 0.112 0.384
O28 0.909 0.616 0.792
O29 0.925 0.444 0.992
O30 0.936 0.950 0.184
O31 0.946 0.493 0.488
O32 0.994 0.008 0.693
```

Total moment, μB per cell: 16.002
E_form, eV per atom: -2.59
Final energy, eV/atom: -6.74



2.
This record from Materials Project describes a relaxed structure of Sr2CaFe2Bi2O9. The functional is PBE+U.

Cell and atoms, written as CIF:
```
data_Sr2CaFe2Bi2O9
_cell_length_a 16.524
_cell_length_b 16.524
_cell_length_c 5.593
_cell_angle_alpha 90.00
_cell_angle_beta 90.00
_cell_angle_gamma 161.42
_space_group_name_H-M_alt 'P 1'
_space_group_IT_number 1
_space_group_name_Hall 'P 1'
loop_
_atom_site_label
_atom_site_fract_x
_atom_site_fract_y
_atom_site_fract_z
Sr1 0.132 0.868 0.757
Sr2 0.368 0.632 0.757
Sr3 0.632 0.368 0.243
Sr4 0.868 0.132 0.243
Ca1 0.250 0.750 0.781
Ca2 0.750 0.250 0.219
Fe1 0.191 0.809 0.256
Fe2 0.309 0.691 0.256
Fe3 0.691 0.309 0.744
Fe4 0.809 0.191 0.744
Bi1 0.045 0.955 0.271
Bi2 0.455 0.545 0.271
Bi3 0.545 0.455 0.729
Bi4 0.955 0.045 0.729
O1 0.046 0.954 0.653
O2 0.064 0.436 0.000
O3 0.069 0.431 0.500
O4 0.108 0.892 0.223
O5 0.250 0.750 0.251
O6 0.392 0.608 0.223
O7 0.431 0.069 0.500
O8 0.436 0.064 0.000
O9 0.454 0.546 0.653
O10 0.546 0.454 0.347
O11 0.564 0.936 0.000
O12 0.569 0.931 0.500
O13 0.608 0.392 0.777
O14 0.750 0.250 0.749
O15 0.892 0.108 0.777
O16 0.931 0.569 0.500
O17 0.936 0.564 0.000
O18 0.954 0.046 0.347
```

Total moment, μB per cell: 19.561
E_form, eV per atom: -2.18
Final energy, eV/atom: -6.17



3.
This record from Materials Project describes a relaxed structure of LiV4Ge4O16. The functional is PBE+U.

Cell and atoms, written as CIF:
```
data_LiV4Ge4O16
_cell_length_a 4.448
_cell_length_b 11.527
_cell_length_c 4.765
_cell_angle_alpha 90.00
_cell_angle_beta 90.78
_cell_angle_gamma 90.00
_space_group_name_H-M_alt 'P 1'
_space_group_IT_number 1
_space_group_name_Hall 'P 1'
loop_
_atom_site_label
_atom_site_fract_x
_atom_site_fract_y
_atom_site_fract_z
Li1 0.000 0.000 0.000
V1 0.000 0.731 0.000
V2 0.000 0.862 0.500
V3 0.500 0.231 0.000
V4 0.500 0.372 0.500
Ge1 0.000 0.123 0.500
Ge2 0.000 0.478 0.000
Ge3 0.500 0.622 0.500
Ge4 0.500 0.974 0.000
O1 0.224 0.606 0.170
O2 0.228 0.995 0.673
O3 0.248 0.360 0.172
O4 0.250 0.865 0.157
O5 0.252 0.238 0.673
O6 0.254 0.735 0.673
O7 0.268 0.108 0.167
O8 0.275 0.491 0.669
O9 0.725 0.491 0.331
O10 0.732 0.108 0.833
O11 0.746 0.735 0.327
O12 0.748 0.238 0.327
O13 0.750 0.865 0.843
O14 0.752 0.360 0.828
O15 0.772 0.995 0.327
O16 0.776 0.606 0.830
```

Total moment, μB per cell: 0.086
E_form, eV per atom: -2.09
Final energy, eV/atom: -6.82



4.
This record from Materials Project describes a relaxed structure of LiCoPO4. The functional is PBE+U.

Cell and atoms, written as CIF:
```
data_LiCoPO4
_cell_length_a 5.151
_cell_length_b 9.354
_cell_length_c 8.969
_cell_angle_alpha 90.02
_cell_angle_beta 90.02
_cell_angle_gamma 89.17
_space_group_name_H-M_alt 'P 1'
_space_group_IT_number 1
_space_group_name_Hall 'P 1'
loop_
_atom_site_label
_atom_site_fract_x
_atom_site_fract_y
_atom_site_fract_z
O1 0.709 0.758 0.669
Li1 0.495 0.743 0.500
O2 0.634 0.770 0.026
O3 0.708 0.258 0.331
O4 0.133 0.779 0.809
Co1 0.497 0.847 0.833
P1 0.001 0.212 0.330
O5 0.209 0.758 0.169
O6 0.134 0.271 0.474
O7 0.032 0.050 0.324
O8 0.134 0.770 0.526
P2 0.501 0.212 0.830
O9 0.532 0.550 0.176
O10 0.209 0.258 0.831
Li2 0.995 0.243 0.000
O11 0.133 0.280 0.191
O12 0.633 0.280 0.691
Li3 0.995 0.743 0.000
P3 0.501 0.712 0.170
O13 0.532 0.050 0.824
Li4 0.495 0.243 0.500
Co2 0.997 0.347 0.667
Co3 0.497 0.347 0.167
O14 0.031 0.550 0.676
O15 0.634 0.270 0.974
O16 0.633 0.780 0.309
Co4 0.997 0.847 0.333
P4 0.001 0.712 0.670
```

Total moment, μB per cell: 0.000
Largest piezoelectric modulus, C/m²: 0.87
E_form, eV per atom: -2.36
Final energy, eV/atom: -6.62



5.
This record from Materials Project describes a relaxed structure of Mg3Fe2O7. The functional is PBE+U.

Cell and atoms, written as CIF:
```
data_Mg3Fe2O7
_cell_length_a 9.141
_cell_length_b 9.141
_cell_length_c 5.430
_cell_angle_alpha 90.00
_cell_angle_beta 90.00
_cell_angle_gamma 32.51
_space_group_name_H-M_alt 'P 1'
_space_group_IT_number 1
_space_group_name_Hall 'P 1'
loop_
_atom_site_label
_atom_site_fract_x
_atom_site_fract_y
_atom_site_fract_z
Mg1 0.049 0.566 0.648
Mg2 0.235 0.765 0.500
Mg3 0.434 0.951 0.648
Mg4 0.566 0.049 0.148
Mg5 0.765 0.235 0.000
Mg6 0.951 0.434 0.148
Fe1 0.146 0.645 0.070
Fe2 0.355 0.854 0.070
Fe3 0.645 0.146 0.570
Fe4 0.854 0.355 0.570
O1 0.017 0.140 0.241
O2 0.077 0.335 0.519
O3 0.140 0.017 0.741
O4 0.316 0.415 0.376
O5 0.335 0.077 0.019
O6 0.380 0.620 0.127
O7 0.415 0.316 0.876
O8 0.585 0.684 0.376
O9 0.620 0.380 0.627
O10 0.665 0.923 0.519
O11 0.684 0.585 0.876
O12 0.860 0.983 0.241
O13 0.923 0.665 0.019
O14 0.983 0.860 0.741
```

Total moment, μB per cell: 16.004
E_form, eV per atom: -2.17
Final energy, eV/atom: -6.09



6.
This record from Materials Project describes a relaxed structure of V4O5F7. The functional is PBE+U.

Cell and atoms, written as CIF:
```
data_V4O5F7
_cell_length_a 5.202
_cell_length_b 5.388
_cell_length_c 7.508
_cell_angle_alpha 92.09
_cell_angle_beta 90.26
_cell_angle_gamma 90.21
_space_group_name_H-M_alt 'P 1'
_space_group_IT_number 1
_space_group_name_Hall 'P 1'
loop_
_atom_site_label
_atom_site_fract_x
_atom_site_fract_y
_atom_site_fract_z
V1 0.000 0.000 0.000
V2 0.012 0.018 0.488
V3 0.451 0.500 0.999
V4 0.513 0.509 0.500
O1 0.056 0.987 0.265
O2 0.188 0.268 0.545
O3 0.203 0.696 0.964
O4 0.251 0.195 0.968
O5 0.762 0.692 0.466
F1 0.263 0.776 0.559
F2 0.380 0.485 0.257
F3 0.576 0.469 0.754
F4 0.684 0.183 0.460
F5 0.702 0.775 0.044
F6 0.750 0.275 0.050
F7 0.888 0.981 0.748
```

E_form, eV per atom: -2.75
Final energy, eV/atom: -6.56



7.
This record from Materials Project describes a relaxed structure of NaPrZrVO6. The functional is PBE+U.

Cell and atoms, written as CIF:
```
data_NaPrZrVO6
_cell_length_a 5.658
_cell_length_b 5.658
_cell_length_c 5.658
_cell_angle_alpha 60.00
_cell_angle_beta 60.00
_cell_angle_gamma 60.00
_space_group_name_H-M_alt 'P 1'
_space_group_IT_number 1
_space_group_name_Hall 'P 1'
loop_
_atom_site_label
_atom_site_fract_x
_atom_site_fract_y
_atom_site_fract_z
Na1 0.000 0.000 0.000
Pr1 0.500 0.500 0.500
Zr1 0.750 0.750 0.750
V1 0.250 0.250 0.250
O1 0.009 0.009 0.491
O2 0.009 0.491 0.009
O3 0.009 0.491 0.491
O4 0.491 0.009 0.009
O5 0.491 0.009 0.491
O6 0.491 0.491 0.009
```

Total moment, μB per cell: 1.000
E_form, eV per atom: -3.01
Final energy, eV/atom: -7.77



8.
This record from Materials Project describes a relaxed structure of Li2MnPCO7. The functional is PBE+U.

Cell and atoms, written as CIF:
```
data_Li2MnPCO7
_cell_length_a 9.561
_cell_length_b 6.477
_cell_length_c 10.034
_cell_angle_alpha 90.00
_cell_angle_beta 117.50
_cell_angle_gamma 90.00
_space_group_name_H-M_alt 'P 1'
_space_group_IT_number 1
_space_group_name_Hall 'P 1'
loop_
_atom_site_label
_atom_site_fract_x
_atom_site_fract_y
_atom_site_fract_z
Li1 0.000 0.008 0.000
Li2 0.000 0.992 0.500
Li3 0.374 0.284 0.215
Li4 0.374 0.290 0.714
Li5 0.374 0.710 0.214
Li6 0.374 0.716 0.715
Li7 0.844 0.218 0.183
Li8 0.844 0.782 0.683
Mn1 0.448 0.001 0.524
Mn2 0.448 0.999 0.024
Mn3 0.784 0.500 0.380
Mn4 0.784 0.500 0.880
P1 0.526 0.493 0.026
P2 0.526 0.507 0.526
P3 0.694 0.005 0.881
P4 0.694 0.995 0.381
C1 0.067 0.497 0.562
C2 0.067 0.503 0.062
C3 0.160 0.021 0.325
C4 0.160 0.979 0.825
O1 0.025 0.470 0.422
O2 0.025 0.530 0.922
O3 0.029 0.039 0.209
O4 0.029 0.961 0.709
O5 0.181 0.010 0.462
O6 0.181 0.990 0.962
O7 0.207 0.498 0.167
O8 0.207 0.502 0.667
O9 0.293 0.013 0.310
O10 0.293 0.987 0.810
O11 0.422 0.308 0.027
O12 0.422 0.692 0.527
O13 0.443 0.311 0.544
O14 0.443 0.689 0.044
O15 0.527 0.006 0.241
O16 0.527 0.994 0.741
O17 0.542 0.499 0.878
O18 0.542 0.501 0.378
O19 0.664 0.017 0.019
O20 0.664 0.983 0.519
O21 0.694 0.470 0.160
O22 0.694 0.530 0.660
O23 0.793 0.190 0.878
O24 0.793 0.810 0.378
O25 0.798 0.181 0.384
O26 0.798 0.819 0.884
O27 0.945 0.479 0.091
O28 0.945 0.521 0.591
```

Total moment, μB per cell: 16.004
E_form, eV per atom: -2.33
Final energy, eV/atom: -6.98



9.
This record from Materials Project describes a relaxed structure of CrH12PdN4O4. The functional is PBE+U.

Cell and atoms, written as CIF:
```
data_CrH12PdN4O4
_cell_length_a 9.270
_cell_length_b 9.270
_cell_length_c 9.270
_cell_angle_alpha 133.03
_cell_angle_beta 133.03
_cell_angle_gamma 68.60
_space_group_name_H-M_alt 'P 1'
_space_group_IT_number 1
_space_group_name_Hall 'P 1'
loop_
_atom_site_label
_atom_site_fract_x
_atom_site_fract_y
_atom_site_fract_z
Cr1 0.375 0.625 0.750
Cr2 0.625 0.375 0.250
H1 0.016 0.488 0.198
H2 0.016 0.818 0.527
H3 0.182 0.210 0.198
H4 0.182 0.984 0.973
H5 0.192 0.257 0.566
H6 0.192 0.626 0.934
H7 0.210 0.182 0.698
H8 0.210 0.512 0.027
H9 0.257 0.192 0.066
H10 0.374 0.808 0.566
H11 0.488 0.016 0.698
H12 0.488 0.790 0.473
H13 0.512 0.210 0.527
H14 0.512 0.984 0.302
H15 0.626 0.192 0.434
H16 0.743 0.808 0.934
H17 0.790 0.488 0.973
H18 0.790 0.818 0.302
H19 0.808 0.374 0.066
H20 0.808 0.743 0.434
H21 0.818 0.016 0.027
H22 0.818 0.790 0.802
H23 0.984 0.182 0.473
H24 0.984 0.512 0.802
Pd1 0.125 0.875 0.250
Pd2 0.875 0.125 0.750
N1 0.126 0.155 0.529
N2 0.126 0.597 0.971
N3 0.155 0.126 0.029
N4 0.403 0.874 0.529
N5 0.597 0.126 0.471
N6 0.845 0.874 0.971
N7 0.874 0.403 0.029
N8 0.874 0.845 0.471
O1 0.252 0.687 0.564
O2 0.313 0.377 0.564
O3 0.313 0.748 0.936
O4 0.377 0.313 0.064
O5 0.623 0.687 0.936
O6 0.687 0.252 0.064
O7 0.687 0.623 0.436
O8 0.748 0.313 0.436
```

Total moment, μB per cell: 0.024
E_form, eV per atom: -0.73
Final energy, eV/atom: -5.46



10.
This record from Materials Project describes a relaxed structure of CoH8Cl2O4. The functional is PBE+U.

Cell and atoms, written as CIF:
```
data_CoH8Cl2O4
_cell_length_a 6.147
_cell_length_b 10.794
_cell_length_c 12.742
_cell_angle_alpha 90.00
_cell_angle_beta 95.12
_cell_angle_gamma 90.00
_space_group_name_H-M_alt 'P 1'
_space_group_IT_number 1
_space_group_name_Hall 'P 1'
loop_
_atom_site_label
_atom_site_fract_x
_atom_site_fract_y
_atom_site_fract_z
Co1 0.099 0.123 0.251
Co2 0.099 0.377 0.751
Co3 0.901 0.623 0.249
Co4 0.901 0.877 0.749
H1 0.003 0.008 0.529
H2 0.003 0.492 0.029
H3 0.044 0.125 0.051
H4 0.044 0.375 0.551
H5 0.046 0.609 0.775
H6 0.046 0.891 0.275
H7 0.146 0.736 0.674
H8 0.146 0.764 0.174
H9 0.220 0.017 0.079
H10 0.220 0.483 0.579
H11 0.406 0.697 0.930
H12 0.406 0.803 0.430
H13 0.445 0.246 0.746
H14 0.445 0.254 0.246
H15 0.456 0.216 0.367
H16 0.456 0.284 0.867
H17 0.544 0.716 0.133
H18 0.544 0.784 0.633
H19 0.555 0.746 0.754
H20 0.555 0.754 0.254
H21 0.594 0.197 0.570
H22 0.594 0.303 0.070
H23 0.780 0.517 0.421
H24 0.780 0.983 0.921
H25 0.854 0.236 0.826
H26 0.854 0.264 0.326
H27 0.954 0.109 0.725
H28 0.954 0.391 0.225
H29 0.956 0.625 0.449
H30 0.956 0.875 0.949
H31 0.997 0.508 0.971
H32 0.997 0.992 0.471
Cl1 0.260 0.674 0.529
Cl2 0.260 0.826 0.029
Cl3 0.470 0.117 0.617
Cl4 0.470 0.383 0.117
Cl5 0.530 0.617 0.883
Cl6 0.530 0.883 0.383
Cl7 0.740 0.174 0.971
Cl8 0.740 0.326 0.471
O1 0.004 0.519 0.789
O2 0.004 0.981 0.289
O3 0.079 0.744 0.741
O4 0.079 0.756 0.241
O5 0.173 0.102 0.100
O6 0.173 0.398 0.600
O7 0.401 0.189 0.296
O8 0.401 0.311 0.796
O9 0.599 0.689 0.204
O10 0.599 0.811 0.704
O11 0.827 0.602 0.400
O12 0.827 0.898 0.900
O13 0.921 0.244 0.759
O14 0.921 0.256 0.259
O15 0.996 0.019 0.711
O16 0.996 0.481 0.211
```

Total moment, μB per cell: 15.998
E_form, eV per atom: -0.93
Final energy, eV/atom: -4.49



11.
This record from Materials Project describes a relaxed structure of MgFe2O5. The functional is PBE+U.

Cell and atoms, written as CIF:
```
data_MgFe2O5
_cell_length_a 5.261
_cell_length_b 5.261
_cell_length_c 9.681
_cell_angle_alpha 90.00
_cell_angle_beta 90.00
_cell_angle_gamma 136.15
_space_group_name_H-M_alt 'P 1'
_space_group_IT_number 1
_space_group_name_Hall 'P 1'
loop_
_atom_site_label
_atom_site_fract_x
_atom_site_fract_y
_atom_site_fract_z
Mg1 0.204 0.796 0.500
Mg2 0.796 0.204 0.000
Fe1 0.139 0.861 0.812
Fe2 0.140 0.860 0.192
Fe3 0.860 0.140 0.692
Fe4 0.861 0.139 0.312
O1 0.041 0.959 0.369
O2 0.048 0.952 0.640
O3 0.218 0.782 0.995
O4 0.306 0.694 0.695
O5 0.311 0.689 0.309
O6 0.689 0.311 0.809
O7 0.694 0.306 0.195
O8 0.782 0.218 0.495
O9 0.952 0.048 0.140
O10 0.959 0.041 0.869
```

Total moment, μB per cell: 16.001
E_form, eV per atom: -1.73
Final energy, eV/atom: -6.15